Run w
Entry from Materials Project: a relaxed Fe5O8F2 crystal (GGA+U).

Values from the calculation:
Mass density (kg/m³): 4527
Total magnetic moment (μB/atom): 0.5439

Geometry as extended XYZ:
```
30
Lattice="4.661 0.000 0.000 0.227 7.593 0.000 0.553 3.297 9.227" Properties=species:S:1:pos:R:3 pbc="T T T"
O 4.235 8.764 3.882
O 3.591 6.097 2.997
O 3.839 8.918 6.706
O 1.603 1.972 2.521
O 1.418 4.997 8.935
O 1.602 4.351 0.726
O 1.207 2.126 5.345
O 3.841 6.540 8.501
O 1.886 7.182 4.422
O 4.270 6.346 5.781
O 2.142 10.028 8.134
O 1.172 4.545 3.447
O 4.024 5.893 0.292
O 3.556 3.709 4.805
O 3.300 0.863 1.093
O 1.851 4.793 6.231
Fe 0.262 5.202 1.879
Fe 5.121 8.049 5.482
Fe 3.121 8.358 8.418
Fe 0.321 2.841 3.746
Fe 2.321 2.532 0.810
Fe 0.000 0.000 0.000
Fe 2.823 7.911 2.851
Fe 2.619 2.979 6.376
Fe 5.180 5.688 7.348
Fe 2.721 5.445 4.614
F 3.932 3.448 2.013
F 4.198 3.895 7.534
F 1.244 6.996 1.694
F 1.510 7.442 7.214
```

***

Run x
Entry from Materials Project: a relaxed Fe5O8F2 crystal (GGA+U).

Values from the calculation:
Mass density (kg/m³): 4515
Total magnetic moment (μB/atom): 1.4690

Geometry as extended XYZ:
```
30
Lattice="4.660 0.000 0.000 0.000 5.549 0.000 0.000 2.638 12.664" Properties=species:S:1:pos:R:3 pbc="T T T"
O 0.916 3.584 9.342
O 3.184 2.962 0.811
O 3.246 4.603 3.322
O 3.817 5.081 8.348
O 1.447 6.346 9.281
O 1.487 3.107 4.316
O 3.818 3.470 5.942
O 3.777 1.841 3.383
O 0.929 1.951 6.864
O 3.715 6.702 10.826
O 3.691 0.181 0.737
O 0.854 5.225 11.853
O 1.488 4.717 6.721
O 1.361 8.006 11.926
O 3.260 6.236 5.800
O 1.384 1.486 1.838
F 0.886 4.228 1.774
F 3.256 2.346 8.377
F 3.216 3.960 10.890
F 0.926 5.842 4.287
Fe 2.396 2.971 2.589
Fe 2.223 2.315 10.181
Fe 0.130 3.568 7.578
Fe 2.341 6.240 7.567
Fe 0.066 5.216 10.075
Fe 4.534 6.812 12.585
Fe 2.460 4.619 5.086
Fe 2.203 1.375 0.079
Fe 4.554 5.872 2.482
Fe 0.011 1.947 5.097
```

***

Stability ranking, top and bottom: run w is the most stable and run x is the least stable.

***

Run w
Entry from Materials Project: a relaxed Fe5O8F2 crystal (GGA+U).

Values from the calculation:
Mass density (kg/m³): 4513
Total magnetic moment (μB/atom): 1.4669

Geometry as extended XYZ:
```
30
Lattice="-0.599 -4.626 -0.117 5.489 -0.522 -0.767 -0.918 -0.123 12.864" Properties=species:S:1:pos:R:3 pbc="T T T"
O 4.056 -1.910 5.247
O 4.172 -3.755 8.690
O 1.215 -3.454 3.994
O 2.489 -3.541 1.300
O 1.475 -1.725 10.708
O 2.566 -4.123 6.368
O -0.194 -1.521 3.259
O -0.319 -3.820 1.557
O -0.053 -3.363 6.719
O 2.753 -1.784 7.926
O 4.267 -1.493 10.422
O 1.115 -1.607 0.662
O 0.010 -4.004 11.812
O 3.926 -1.276 0.152
O 3.899 -4.272 3.531
O 0.131 -0.981 8.410
Fe 4.242 -0.448 1.899
Fe 2.389 -2.546 -0.428
Fe 1.092 -2.609 2.273
Fe -0.210 -2.486 4.951
Fe 2.879 -2.612 9.670
Fe 0.302 -0.209 10.184
Fe 1.030 -4.882 7.301
Fe 4.105 -2.843 6.973
Fe 2.442 -4.900 4.616
Fe 0.048 -0.090 0.037
F 1.397 -3.995 9.117
F 2.621 -1.256 2.945
F 1.351 -1.144 5.592
F 2.855 -3.721 11.391
```

***

Run x
Entry from Materials Project: a relaxed Fe5O8F2 crystal (GGA+U).

Values from the calculation:
Mass density (kg/m³): 4529
Total magnetic moment (μB/atom): 1.4667

Geometry as extended XYZ:
```
30
Lattice="-4.436 1.135 -0.867 -1.892 -7.382 0.014 -2.718 -3.717 9.041" Properties=species:S:1:pos:R:3 pbc="T T T"
O -2.783 -6.203 0.855
O -3.522 -5.552 6.470
O -2.864 -3.514 1.813
O -5.523 -4.412 1.718
O -4.496 -7.971 5.306
O -3.636 -2.833 7.179
O -4.500 -7.754 8.182
O -5.409 -7.132 1.009
O -3.696 -5.753 3.553
O -1.761 -1.106 2.760
O -4.549 -1.993 2.882
O -6.181 -6.450 6.375
O -6.262 -3.762 7.333
O -7.284 -8.858 5.428
O -5.349 -4.212 4.635
O -4.545 -2.211 0.006
Fe -2.218 0.567 -0.433
Fe -4.215 -3.909 3.113
Fe -7.504 -5.274 7.256
Fe -1.541 -4.690 0.932
Fe -4.830 -6.055 5.075
Fe -6.652 -2.951 5.598
Fe -3.243 -1.617 1.478
Fe -1.359 -1.859 4.520
Fe -2.393 -7.013 2.590
Fe -5.802 -8.347 6.710
F -2.742 -3.348 4.588
F -7.236 -8.584 8.204
F -6.303 -6.616 3.600
F -1.809 -1.381 -0.016
```

***

Stability ranking, top and bottom: run x is the most stable and run w is the least stable.

***

Run w
Entry from Materials Project: a relaxed Fe10O11F9 crystal (GGA+U).

Values from the calculation:
Mass density (kg/m³): 4380
Total magnetic moment (μB/atom): 1.6334

Geometry as extended XYZ:
```
30
Lattice="4.706 0.000 0.000 0.045 4.707 0.000 0.076 0.042 15.497" Properties=species:S:1:pos:R:3 pbc="T T T"
Fe 0.085 4.528 3.068
Fe 2.388 2.547 1.564
Fe 2.430 2.556 4.684
Fe 4.789 4.603 15.397
Fe 2.347 2.479 10.689
Fe 4.773 4.538 6.217
Fe 0.213 4.659 9.335
Fe 2.398 2.497 7.824
Fe 0.184 4.708 12.483
Fe 2.539 2.386 14.000
F 3.828 0.956 7.736
F 3.842 0.993 10.921
F 1.442 1.433 6.192
F 1.562 1.506 12.380
F 1.439 1.401 0.012
F 1.421 1.431 3.076
F 3.371 3.286 12.354
F 3.755 0.932 1.535
F 3.774 0.945 4.659
O 1.007 3.874 10.922
O 3.387 3.350 9.312
O 0.977 3.826 7.765
O 3.282 3.294 3.102
O 3.363 3.269 15.479
O 1.086 3.767 13.906
O 0.917 3.795 1.494
O 3.883 0.940 13.902
O 3.293 3.282 6.250
O 0.932 3.793 4.653
O 1.489 1.464 9.284
```

***

Run x
Entry from Materials Project: a relaxed Fe10O11F9 crystal (GGA+U).

Values from the calculation:
Mass density (kg/m³): 4363
Total magnetic moment (μB/atom): 1.6333

Geometry as extended XYZ:
```
30
Lattice="-3.180 0.393 3.476 -3.569 -0.499 -3.078 0.272 -15.238 2.091" Properties=species:S:1:pos:R:3 pbc="T T T"
O -1.145 -7.670 1.100
O -3.319 -6.357 -0.172
O -3.365 -3.211 -0.600
O -1.213 -4.585 0.766
O -3.093 -9.066 2.632
O -3.095 -15.103 3.472
O -3.271 -12.422 0.605
O -1.244 -1.493 0.277
O -3.114 -12.064 3.228
O -1.049 -10.745 1.546
O -5.333 -13.768 2.218
Fe -3.368 -12.687 -1.355
Fe -3.375 -13.673 2.146
Fe -3.586 -6.592 -2.072
Fe -3.174 -1.528 0.387
Fe -3.010 -10.811 1.728
Fe -3.171 -4.634 0.689
Fe -3.654 -3.513 -2.487
Fe -2.953 -14.855 5.374
Fe -3.093 -7.709 1.227
Fe -3.136 -8.803 4.538
F -3.153 -5.962 2.378
F -5.269 -7.732 1.353
F -3.233 -9.417 0.091
F -5.390 -1.597 0.507
F -5.205 -10.722 1.764
F -1.169 -13.753 1.956
F -3.233 -15.436 0.943
F -3.203 -2.913 1.963
F -5.316 -4.646 1.006
```

***

Stability ranking, top and bottom: run x is the most stable and run w is the least stable.

***

Run w
Entry from Materials Project: a relaxed Fe10O11F9 crystal (GGA+U).

Values from the calculation:
Mass density (kg/m³): 4367
Total magnetic moment (μB/atom): 1.6333

Geometry as extended XYZ:
```
30
Lattice="-3.246 -0.392 3.412 -1.402 -4.241 -1.547 10.330 -6.854 9.176" Properties=species:S:1:pos:R:3 pbc="T T T"
O -2.705 -1.541 1.977
O 2.138 -5.775 3.617
O 8.471 -7.029 8.654
O 5.665 -7.060 9.215
O -2.802 -4.465 2.440
O -1.966 -3.065 -0.001
O -0.628 -3.031 3.700
O 4.273 -4.297 4.953
O 3.525 -5.669 7.339
O 6.356 -5.722 6.758
O 1.400 -4.230 5.602
Fe 2.860 -5.557 5.483
Fe 6.150 -4.298 5.462
Fe 0.798 -4.374 3.780
Fe -1.502 -3.077 1.919
Fe 8.217 -5.651 7.288
Fe 7.141 -8.354 9.254
Fe 4.129 -2.791 3.789
Fe -1.160 -1.797 5.052
Fe 8.899 -11.045 7.661
Fe 4.963 -6.944 7.417
F -0.688 -5.808 4.249
F 6.339 -8.542 7.253
F 0.110 -4.544 1.783
F 3.512 -8.523 7.899
F 4.270 -7.189 5.426
F 5.547 -9.842 9.740
F 2.163 -2.922 3.078
F 1.452 -7.140 6.108
F 0.112 -1.656 1.343
```

***

Run x
Entry from Materials Project: a relaxed Fe10O11F9 crystal (GGA+U).

Values from the calculation:
Mass density (kg/m³): 4343
Total magnetic moment (μB/atom): 1.6333

Geometry as extended XYZ:
```
30
Lattice="-0.421 -11.533 -10.063 1.405 -3.016 3.398 -4.447 -1.030 1.367" Properties=species:S:1:pos:R:3 pbc="T T T"
F -0.724 -5.375 -3.119
F -2.594 -7.897 -0.192
F -0.664 -3.076 -1.082
F -0.612 -0.767 0.905
F -3.105 -12.013 -7.078
F -2.768 -2.780 0.978
F -2.678 -10.173 -2.177
F -0.808 -7.691 -5.140
F -0.918 -10.020 -7.142
O -2.542 -5.588 1.837
O -0.829 -12.741 -6.259
O -0.547 -8.170 -2.264
O -2.778 -5.151 -1.076
O -2.794 -12.494 -4.189
O -0.462 -5.961 -0.295
O -2.492 -3.249 3.828
O -2.943 -9.659 -5.010
O -0.625 -10.419 -4.185
O -0.495 -3.587 1.728
O -2.867 -7.387 -3.063
Fe 1.299 -4.031 2.260
Fe -4.645 -6.797 -3.665
Fe -3.277 -12.163 -2.373
Fe -1.630 -4.547 0.451
Fe -1.664 -6.624 -1.667
Fe 0.961 -13.282 -5.811
Fe -1.748 -8.922 -3.672
Fe -1.876 -11.300 -5.441
Fe -1.509 -2.160 2.539
Fe -3.104 -7.410 1.774
```

***

Stability ranking, top and bottom: run w is the most stable and run x is the least stable.